A geometry-optimized NdPaO4 structure. Source: Materials Project, functional PBE.

Summary:
- Energy with MP2020 corrections: -9.790 eV/atom
- Calculated volume: 13.81 Å³ per atom

abc: 5.515 5.515 10.896
angles: 90.00 90.00 90.00
Space group I4_1/amd (No. 141, origin choice 2)
One atom of each set of equivalent atoms:
Nd 0.000 0.250 0.375 [4 per cell]
Pa 0.000 0.250 0.875 [4 per cell]
O 0.231 0.000 0.000 [16 per cell]